[1]
{
  "formula": "Be5Al4Fe2",
  "functional": "GGA-PBE",
  "state": "optimized geometry",
  "lattice": [[3.7734, -2.1909, 0.0000], [3.7734, 2.1909, 0.0000], [-1.9645, 0.0000, 7.5601]],
  "species": ["Be", "Be", "Be", "Be", "Be", "Al", "Al", "Al", "Al", "Fe", "Fe"],
  "fractional_positions": [[0.0000, 0.0000, 0.0000], [0.0000, 0.5000, 0.0000], [0.0000, 0.5000, 0.5000], [0.5000, 0.0000, 0.0000], [0.5000, 0.0000, 0.5000], [0.0827, 0.0827, 0.6949], [0.4481, 0.4481, 0.8027], [0.5519, 0.5519, 0.1973], [0.9173, 0.9173, 0.3051], [0.2289, 0.2289, 0.2473], [0.7711, 0.7711, 0.7527]],
  "space_group": "No. 12",
  "formation_enthalpy_0k_kj_per_mol_fu": -166,
  "energy_ev_per_atom": -4.76
}

***

[2]
{
  "formula": "Ba6Y2Ti4O17",
  "functional": "GGA-PBE",
  "state": "optimized geometry",
  "lattice": [[6.0023, 0.0000, 0.0000], [-3.0012, 5.1982, 0.0000], [0.0000, 0.0000, 30.0197]],
  "species": ["Ba", "Ba", "Ba", "Ba", "Ba", "Ba", "Ba", "Ba", "Ba", "Ba", "Ba", "Ba", "Y", "Y", "Y", "Y", "Ti", "Ti", "Ti", "Ti", "Ti", "Ti", "Ti", "Ti", "O", "O", "O", "O", "O", "O", "O", "O", "O", "O", "O", "O", "O", "O", "O", "O", "O", "O", "O", "O", "O", "O", "O", "O", "O", "O", "O", "O", "O", "O", "O", "O", "O", "O"],
  "fractional_positions": [[0.0000, 0.0000, 0.0000], [0.0000, 0.0000, 0.2500], [0.0000, 0.0000, 0.5000], [0.0000, 0.0000, 0.7500], [0.3333, 0.6667, 0.0896], [0.3333, 0.6667, 0.4104], [0.3333, 0.6667, 0.6845], [0.3333, 0.6667, 0.8155], [0.6667, 0.3333, 0.1845], [0.6667, 0.3333, 0.3155], [0.6667, 0.3333, 0.5896], [0.6667, 0.3333, 0.9104], [0.0000, 0.0000, 0.1269], [0.0000, 0.0000, 0.3731], [0.0000, 0.0000, 0.6269], [0.0000, 0.0000, 0.8731], [0.3333, 0.6667, 0.2038], [0.3333, 0.6667, 0.2962], [0.3333, 0.6667, 0.5547], [0.3333, 0.6667, 0.9453], [0.6667, 0.3333, 0.0547], [0.6667, 0.3333, 0.4453], [0.6667, 0.3333, 0.7038], [0.6667, 0.3333, 0.7962], [0.0368, 0.5184, 0.2500], [0.1682, 0.3363, 0.5774], [0.1682, 0.3363, 0.9226], [0.1682, 0.8318, 0.5774], [0.1682, 0.8318, 0.9226], [0.1758, 0.3516, 0.1697], [0.1758, 0.3516, 0.3303], [0.1758, 0.8242, 0.1697], [0.1758, 0.8242, 0.3303], [0.3333, 0.6667, 0.0044], [0.3333, 0.6667, 0.4956], [0.3363, 0.1682, 0.0774], [0.3363, 0.1682, 0.4226], [0.3516, 0.1758, 0.6697], [0.3516, 0.1758, 0.8303], [0.4816, 0.5184, 0.2500], [0.4816, 0.9632, 0.2500], [0.5184, 0.0368, 0.7500], [0.5184, 0.4816, 0.7500], [0.6484, 0.8242, 0.1697], [0.6484, 0.8242, 0.3303], [0.6637, 0.8318, 0.5774], [0.6637, 0.8318, 0.9226], [0.6667, 0.3333, 0.5044], [0.6667, 0.3333, 0.9956], [0.8242, 0.1758, 0.6697], [0.8242, 0.1758, 0.8303], [0.8242, 0.6484, 0.6697], [0.8242, 0.6484, 0.8303], [0.8318, 0.1682, 0.0774], [0.8318, 0.1682, 0.4226], [0.8318, 0.6637, 0.0774], [0.8318, 0.6637, 0.4226], [0.9632, 0.4816, 0.7500]],
  "space_group": "No. 194",
  "formation_enthalpy_0k_kj_per_mol_fu": -9885,
  "energy_mp2020_ev_per_atom": -8.365,
  "energy_ev_per_atom": -7.96
}

***

[3]
{
  "formula": "MgTe4Mo3S2",
  "functional": "GGA-PBE",
  "state": "optimized geometry",
  "lattice": [[2.9656, -1.7119, 0.0000], [2.9656, 1.7119, 0.0000], [-0.0593, 0.0000, 37.2335]],
  "species": ["Mg", "Te", "Te", "Te", "Te", "Mo", "Mo", "Mo", "S", "S"],
  "fractional_positions": [[0.0000, 0.0000, 0.0000], [0.6682, 0.6682, 0.0837], [0.6685, 0.6685, 0.1840], [0.6679, 0.6679, 0.6155], [0.6685, 0.6685, 0.7156], [0.3351, 0.3351, 0.1341], [0.3350, 0.3350, 0.6655], [0.6687, 0.6687, 0.8899], [0.3345, 0.3345, 0.8501], [0.3365, 0.3365, 0.9303]],
  "space_group": "No. 8",
  "formation_enthalpy_0k_kj_per_mol_fu": -409,
  "energy_mp2020_ev_per_atom": -5.923,
  "energy_ev_per_atom": -5.82
}

***

[4]
{
  "formula": "Mg6Si5",
  "functional": "GGA-PBE",
  "state": "optimized geometry",
  "lattice": [[4.1465, 0.0000, 0.0000], [-0.0949, 6.8618, 0.0000], [-1.4795, -2.2440, 14.9481]],
  "species": ["Mg", "Mg", "Mg", "Mg", "Mg", "Mg", "Mg", "Mg", "Mg", "Mg", "Mg", "Mg", "Si", "Si", "Si", "Si", "Si", "Si", "Si", "Si", "Si", "Si"],
  "fractional_positions": [[0.0000, 0.0000, 0.0000], [0.0037, 0.4972, 0.0730], [0.1037, 0.8732, 0.2112], [0.1142, 0.3265, 0.2413], [0.2655, 0.2069, 0.5415], [0.2921, 0.7464, 0.6113], [0.3671, 0.4237, 0.7701], [0.4050, 0.9454, 0.8367], [0.5651, 0.1252, 0.1323], [0.6403, 0.6344, 0.2959], [0.6559, 0.1394, 0.3570], [0.8285, 0.0823, 0.6911], [0.1903, 0.8610, 0.3982], [0.1998, 0.4849, 0.4108], [0.4608, 0.2875, 0.9731], [0.4743, 0.7014, 0.9871], [0.7343, 0.5397, 0.4951], [0.7386, 0.9120, 0.5018], [0.8078, 0.4374, 0.6377], [0.8614, 0.7237, 0.7442], [0.9106, 0.2642, 0.8757], [0.9318, 0.6381, 0.8919]],
  "space_group": "No. 1",
  "e_above_lowest_polymorph_mev_per_atom": 100,
  "formation_enthalpy_0k_kj_per_mol_fu": 141,
  "energy_mp2020_ev_per_atom": -3.206,
  "energy_ev_per_atom": -3.24
}

***

[5]
{
  "formula": "Sr11Hg54",
  "functional": "GGA-PBE",
  "state": "optimized geometry",
  "lattice": [[13.6445, 0.0000, 0.0000], [-6.8223, 11.8165, 0.0000], [0.0000, 0.0000, 11.2143]],
  "species": ["Sr", "Sr", "Sr", "Sr", "Sr", "Sr", "Sr", "Sr", "Sr", "Sr", "Sr", "Hg", "Hg", "Hg", "Hg", "Hg", "Hg", "Hg", "Hg", "Hg", "Hg", "Hg", "Hg", "Hg", "Hg", "Hg", "Hg", "Hg", "Hg", "Hg", "Hg", "Hg", "Hg", "Hg", "Hg", "Hg", "Hg", "Hg", "Hg", "Hg", "Hg", "Hg", "Hg", "Hg", "Hg", "Hg", "Hg", "Hg", "Hg", "Hg", "Hg", "Hg", "Hg", "Hg", "Hg", "Hg", "Hg", "Hg", "Hg", "Hg", "Hg", "Hg", "Hg", "Hg", "Hg"],
  "fractional_positions": [[0.0000, 0.0000, 0.1837], [0.0000, 0.0000, 0.8163], [0.1290, 0.4172, 0.5000], [0.2882, 0.8710, 0.5000], [0.3831, 0.2545, 0.5000], [0.4585, 0.0962, 0.0000], [0.5828, 0.7118, 0.5000], [0.6376, 0.5415, 0.0000], [0.7455, 0.1287, 0.5000], [0.8713, 0.6169, 0.5000], [0.9038, 0.3624, 0.0000], [0.0651, 0.8146, 0.2819], [0.0651, 0.8146, 0.7181], [0.0838, 0.2655, 0.0000], [0.0919, 0.6193, 0.3538], [0.0919, 0.6193, 0.6462], [0.1017, 0.6555, 0.0000], [0.1346, 0.0138, 0.5000], [0.1573, 0.4717, 0.1843], [0.1573, 0.4717, 0.8157], [0.1817, 0.9162, 0.0000], [0.1854, 0.2505, 0.2819], [0.1854, 0.2505, 0.7181], [0.2259, 0.1588, 0.0000], [0.2730, 0.0568, 0.2622], [0.2730, 0.0568, 0.7378], [0.3144, 0.8427, 0.1843], [0.3144, 0.8427, 0.8157], [0.3333, 0.6667, 0.0000], [0.3333, 0.6667, 0.3549], [0.3333, 0.6667, 0.6451], [0.3445, 0.4462, 0.0000], [0.3807, 0.4727, 0.3538], [0.3807, 0.4727, 0.6462], [0.4326, 0.3067, 0.1748], [0.4326, 0.3067, 0.8252], [0.5074, 0.1187, 0.3520], [0.5074, 0.1187, 0.6480], [0.5273, 0.9081, 0.3538], [0.5273, 0.9081, 0.6462], [0.5283, 0.6856, 0.1843], [0.5283, 0.6856, 0.8157], [0.5538, 0.8983, 0.0000], [0.6112, 0.4926, 0.3520], [0.6112, 0.4926, 0.6480], [0.6667, 0.3333, 0.1538], [0.6667, 0.3333, 0.5000], [0.6667, 0.3333, 0.8462], [0.6933, 0.1259, 0.1748], [0.6933, 0.1259, 0.8252], [0.7345, 0.8183, 0.0000], [0.7495, 0.9349, 0.2819], [0.7495, 0.9349, 0.7181], [0.7837, 0.7270, 0.2622], [0.7837, 0.7270, 0.7378], [0.8412, 0.0671, 0.0000], [0.8741, 0.5674, 0.1748], [0.8741, 0.5674, 0.8252], [0.8792, 0.8654, 0.5000], [0.8813, 0.3888, 0.3520], [0.8813, 0.3888, 0.6480], [0.9329, 0.7741, 0.0000], [0.9432, 0.2163, 0.2622], [0.9432, 0.2163, 0.7378], [0.9862, 0.1208, 0.5000]],
  "space_group": "No. 174",
  "formation_enthalpy_0k_kj_per_mol_fu": -1692,
  "energy_ev_per_atom": -0.81
}

***

[6]
{
  "formula": "Fe2P",
  "functional": "GGA-PBE",
  "state": "optimized geometry",
  "lattice": [[5.8112, 0.0000, 0.0000], [-2.9056, 5.0326, 0.0000], [0.0000, 0.0000, 3.4306]],
  "species": ["Fe", "Fe", "Fe", "Fe", "Fe", "Fe", "P", "P", "P"],
  "fractional_positions": [[0.0000, 0.2566, 0.0000], [0.0000, 0.5915, 0.5000], [0.2566, 0.0000, 0.0000], [0.4085, 0.4085, 0.5000], [0.5915, 0.0000, 0.5000], [0.7434, 0.7434, 0.0000], [0.0000, 0.0000, 0.5000], [0.3333, 0.6667, 0.0000], [0.6667, 0.3333, 0.0000]],
  "space_group": "No. 189",
  "formation_enthalpy_0k_kj_per_mol_fu": -133,
  "energy_ev_per_atom": -7.91
}